! Ti3Se (PBE, optimized geometry); values from VASP
&SYSTEM
  ibrav = 0, nat = 4, ntyp = 2
/
ATOMIC_SPECIES
Ti 47.87 Ti.upf
Se 78.96 Se.upf
CELL_PARAMETERS angstrom
3.197 0.000 0.000
-1.599 2.769 0.000
0.000 0.000 7.943
ATOMIC_POSITIONS angstrom
Ti 0.000 0.000 0.000
Ti 1.599 0.923 2.168
Ti 1.599 0.923 5.775
Se 0.000 1.846 3.971
! Total magnetization, μB per cell: 0.0
! Uncorrected energy, eV/atom: -7.26
! V, Å³ per atom: 17.58

---

! Te2MoW3S6 (PBE, optimized geometry); values from VASP
&SYSTEM
  ibrav = 0, nat = 12, ntyp = 4
/
ATOMIC_SPECIES
Te 127.60 Te.upf
Mo 95.94 Mo.upf
W 183.84 W.upf
S 32.06 S.upf
CELL_PARAMETERS angstrom
3.271 0.000 0.000
-1.636 2.833 0.000
0.000 0.000 37.173
ATOMIC_POSITIONS angstrom
Te 0.000 0.000 0.000
Te 0.000 0.000 3.854
Mo 1.636 0.944 1.927
W 0.000 0.000 8.915
W 0.000 0.000 22.882
W 1.636 0.944 15.897
S 0.000 0.000 14.353
S 0.000 0.000 17.442
S 1.636 0.944 7.372
S 1.636 0.944 10.459
S 1.636 0.944 21.337
S 1.636 0.944 24.426
! Total magnetization, μB per cell: 0.0
! Uncorrected energy, eV/atom: -7.36
! Energy above the most stable polymorph in this dataset, meV/atom: 0.0
! V, Å³ per atom: 28.71

---

! Gd3CuSnSe7 (PBE, optimized geometry); values from VASP
&SYSTEM
  ibrav = 0, nat = 24, ntyp = 4
/
ATOMIC_SPECIES
Gd 157.25 Gd.upf
Cu 63.55 Cu.upf
Sn 118.71 Sn.upf
Se 78.96 Se.upf
CELL_PARAMETERS angstrom
10.370 0.000 0.000
-5.185 8.981 0.000
0.000 0.000 6.453
ATOMIC_POSITIONS angstrom
Gd -2.564 7.106 0.000
Gd 0.313 3.208 0.000
Gd 2.934 1.333 3.227
Gd 2.251 7.648 0.000
Gd 4.872 5.773 3.227
Gd 7.749 1.875 3.227
Cu 0.000 0.000 0.549
Cu 0.000 0.000 3.775
Sn 0.000 5.987 2.756
Sn 5.185 2.994 5.982
Se -1.861 4.647 1.602
Se -3.242 7.639 3.619
Se 0.190 2.354 3.619
Se 2.133 1.012 0.392
Se 0.000 5.987 5.302
Se -0.230 8.269 1.602
Se 2.091 5.045 1.602
Se 3.094 3.935 4.829
Se 5.415 0.712 4.829
Se 5.185 2.994 2.076
Se 3.052 7.968 3.619
Se 4.995 6.627 0.392
Se 8.427 1.341 0.392
Se 7.046 4.334 4.829
! Total magnetization, μB per cell: 42.0
! Uncorrected energy, eV/atom: -7.52
! V, Å³ per atom: 25.04

---

! PuP3 (PBE, optimized geometry); values from VASP
&SYSTEM
  ibrav = 0, nat = 8, ntyp = 2
/
ATOMIC_SPECIES
Pu 244.00 Pu.upf
P 30.97 P.upf
CELL_PARAMETERS angstrom
5.580 0.000 0.000
-2.790 4.832 0.000
0.000 0.000 5.361
ATOMIC_POSITIONS angstrom
Pu 0.000 3.221 1.340
Pu 2.790 1.611 4.021
P 0.000 1.891 4.021
P -1.152 3.887 4.021
P 1.638 0.946 1.340
P 1.152 3.887 4.021
P 3.942 0.946 1.340
P 2.790 2.941 1.340
! Total magnetization, μB per cell: 9.2
! Uncorrected energy, eV/atom: -8.17
! V, Å³ per atom: 18.07

---

! FeCo5N4 (PBE, optimized geometry); values from VASP
&SYSTEM
  ibrav = 0, nat = 20, ntyp = 3
/
ATOMIC_SPECIES
Fe 55.84 Fe.upf
Co 58.93 Co.upf
N 14.01 N.upf
CELL_PARAMETERS angstrom
5.887 0.000 0.000
0.000 6.839 0.000
0.000 0.000 4.528
ATOMIC_POSITIONS angstrom
Fe 1.472 1.710 0.812
Fe 4.415 5.129 3.716
Co 0.146 3.865 1.120
Co 0.146 6.393 1.120
Co 1.472 5.129 3.346
Co 2.797 3.865 1.120
Co 2.797 6.393 1.120
Co 3.090 0.446 3.407
Co 3.090 2.974 3.407
Co 4.415 1.710 1.182
Co 5.740 0.446 3.407
Co 5.740 2.974 3.407
N 0.154 1.710 2.125
N 1.472 0.079 4.322
N 1.472 3.340 4.322
N 2.789 1.710 2.125
N 3.098 5.129 2.403
N 4.415 3.499 0.206
N 4.415 6.760 0.206
N 5.732 5.129 2.403
! Total magnetization, μB per cell: 0.0
! Uncorrected energy, eV/atom: -7.60
! V, Å³ per atom: 9.11

---

! Te2Mo2WSe2S2 (PBE, optimized geometry); values from VASP
&SYSTEM
  ibrav = 0, nat = 9, ntyp = 5
/
ATOMIC_SPECIES
Te 127.60 Te.upf
Mo 95.94 Mo.upf
W 183.84 W.upf
Se 78.96 Se.upf
S 32.06 S.upf
CELL_PARAMETERS angstrom
3.346 0.000 0.000
-1.673 2.898 0.000
0.000 0.000 30.970
ATOMIC_POSITIONS angstrom
Te 0.000 0.000 0.000
Te 0.000 0.000 3.788
Mo 0.000 0.000 9.060
Mo 1.673 0.966 1.893
W 1.673 0.966 16.223
Se 1.673 0.966 7.394
Se 1.673 0.966 10.725
S 0.000 0.000 14.701
S 0.000 0.000 17.746
! Total magnetization, μB per cell: 0.0
! Uncorrected energy, eV/atom: -6.78
! Energy above the most stable polymorph in this dataset, meV/atom: 0.4
! V, Å³ per atom: 33.37

---

! Eu2P3H3O9 (PBE, optimized geometry); values from VASP
&SYSTEM
  ibrav = 0, nat = 34, ntyp = 4
/
ATOMIC_SPECIES
Eu 151.96 Eu.upf
P 30.97 P.upf
H 1.01 H.upf
O 16.00 O.upf
CELL_PARAMETERS angstrom
7.235 0.000 0.000
3.550 7.621 0.000
3.577 1.887 8.779
ATOMIC_POSITIONS angstrom
Eu 3.554 2.838 3.564
Eu 7.195 7.237 7.183
Eu 7.166 2.271 1.596
Eu 10.807 6.671 5.215
P 3.862 3.221 6.787
P 3.583 2.316 0.414
P 7.163 6.846 4.045
P 7.198 2.663 4.734
P 10.778 7.192 8.365
P 10.500 6.287 1.992
H 5.258 3.300 6.921
H 7.193 2.869 8.753
H 7.145 5.764 3.149
H 7.217 3.744 5.630
H 7.169 6.640 0.026
H 9.103 6.208 1.858
O 3.648 5.241 3.072
O 2.331 2.504 1.303
O 3.546 1.834 6.176
O 3.857 6.065 0.604
O 5.952 6.709 5.001
O 7.159 5.061 7.932
O 7.150 8.139 3.239
O 4.783 2.541 1.358
O 5.949 2.794 3.828
O 8.412 6.715 4.952
O 9.578 6.968 7.421
O 7.211 1.369 5.540
O 7.202 4.448 0.847
O 8.410 2.800 3.778
O 10.504 3.443 8.176
O 10.816 7.674 2.603
O 12.030 7.005 7.476
O 10.714 4.267 5.707
! Total magnetization, μB per cell: 24.0
! Uncorrected energy, eV/atom: -7.43
! V, Å³ per atom: 14.24

---

! ScTeO3F (PBE, optimized geometry); values from VASP
&SYSTEM
  ibrav = 0, nat = 48, ntyp = 4
/
ATOMIC_SPECIES
Sc 44.96 Sc.upf
Te 127.60 Te.upf
O 16.00 O.upf
F 19.00 F.upf
CELL_PARAMETERS angstrom
5.850 0.000 0.000
0.000 22.320 0.000
0.000 0.000 5.607
ATOMIC_POSITIONS angstrom
Sc 0.399 5.580 1.402
Sc 1.463 0.000 0.977
Sc 1.463 11.160 1.827
Sc 2.526 16.740 1.402
Sc 3.324 5.580 4.205
Sc 4.388 0.000 4.630
Sc 4.388 11.160 3.780
Sc 5.451 16.740 4.205
Te 1.220 13.552 4.544
Te 1.220 19.928 3.866
Te 1.705 2.392 3.866
Te 1.705 8.768 4.544
Te 4.145 13.552 1.063
Te 4.145 19.928 1.740
Te 4.630 2.392 1.740
Te 4.630 8.768 1.063
O 0.253 3.595 1.998
O 0.253 7.565 0.805
O 0.332 12.283 3.350
O 0.332 21.197 5.060
O 0.768 12.514 0.451
O 0.768 20.966 2.352
O 2.157 1.354 2.352
O 2.157 9.806 0.451
O 2.593 1.123 5.060
O 2.593 10.037 3.350
O 2.672 14.755 0.805
O 2.672 18.725 1.998
O 3.178 3.595 3.608
O 3.178 7.565 4.802
O 3.257 12.283 2.257
O 3.257 21.197 0.547
O 3.693 12.514 5.155
O 3.693 20.966 3.255
O 5.082 1.354 3.255
O 5.082 9.806 5.155
O 5.518 1.123 0.547
O 5.518 10.037 2.257
O 5.597 14.755 4.802
O 5.597 18.725 3.608
F 1.109 16.307 2.816
F 1.109 17.172 5.594
F 1.816 5.147 5.594
F 1.816 6.013 2.816
F 4.034 16.307 2.790
F 4.034 17.172 0.013
F 4.741 5.147 0.013
F 4.741 6.013 2.790
! Total magnetization, μB per cell: 0.0
! Uncorrected energy, eV/atom: -6.79
! V, Å³ per atom: 15.25

---

! MgTe2Mo2W2Se4S2 (PBE, optimized geometry); values from VASP
&SYSTEM
  ibrav = 0, nat = 13, ntyp = 6
/
ATOMIC_SPECIES
Mg 24.30 Mg.upf
Te 127.60 Te.upf
Mo 95.94 Mo.upf
W 183.84 W.upf
Se 78.96 Se.upf
S 32.06 S.upf
CELL_PARAMETERS angstrom
2.895 -1.671 0.000
2.895 1.671 0.000
-0.022 0.000 45.099
ATOMIC_POSITIONS angstrom
Mg 0.000 0.000 0.000
Te 1.918 0.000 18.762
Te 1.918 0.000 22.558
Mo 3.856 0.000 3.940
Mo 3.848 0.000 20.661
W 1.922 0.000 12.137
W 1.908 0.000 39.969
Se 3.852 0.000 10.460
Se 3.838 0.000 38.295
Se 3.838 0.000 41.651
Se 3.852 0.000 13.812
S 1.926 0.000 2.383
S 1.926 0.000 5.441
! Total magnetization, μB per cell: 0.0
! Uncorrected energy, eV/atom: -6.43
! Energy above the most stable polymorph in this dataset, meV/atom: 18.7
! V, Å³ per atom: 33.57

---

! ZnH16I2O16 (PBE, optimized geometry); values from VASP
&SYSTEM
  ibrav = 0, nat = 70, ntyp = 4
/
ATOMIC_SPECIES
Zn 65.41 Zn.upf
H 1.01 H.upf
I 126.90 I.upf
O 16.00 O.upf
CELL_PARAMETERS angstrom
10.827 0.000 0.000
0.000 5.571 0.000
-4.716 0.000 11.071
ATOMIC_POSITIONS angstrom
Zn 0.000 0.000 0.000
Zn -2.358 2.786 5.536
H -0.546 0.863 2.539
H -2.904 1.922 8.074
H -0.399 3.723 3.780
H -2.756 4.634 9.316
H 0.909 3.051 0.919
H -1.449 5.306 6.455
H -0.191 1.286 5.273
H -2.549 1.499 10.808
H -0.797 4.101 7.236
H 1.560 4.255 1.700
H 2.137 0.930 1.239
H -0.221 1.856 6.774
H 2.071 3.331 4.393
H -0.287 5.025 9.928
H 2.094 3.538 7.423
H 4.452 4.819 1.887
H 1.660 0.752 9.184
H 4.018 2.034 3.648
H 6.399 0.546 1.143
H 4.041 2.240 6.679
H 6.333 3.716 4.297
H 3.975 4.641 9.832
H 4.551 1.316 9.371
H 6.909 1.470 3.836
H 8.661 4.072 0.263
H 6.303 4.285 5.799
H 7.561 0.266 4.616
H 5.203 2.520 10.152
H 8.868 0.937 1.755
H 6.510 1.848 7.291
H 9.015 3.649 2.997
H 6.658 4.708 8.532
I 2.295 0.215 4.177
I -0.063 2.571 9.712
I 6.174 3.001 1.359
I 3.816 5.356 6.895
O -1.358 3.558 3.868
O -3.716 4.798 9.404
O 0.736 3.972 1.232
O -1.621 4.385 6.767
O 1.565 1.330 0.531
O -0.792 1.456 6.067
O 0.673 0.987 3.936
O -1.685 1.799 9.472
O 1.410 4.081 4.471
O -0.948 4.275 10.007
O 0.456 2.985 7.997
O 2.814 5.372 2.461
O 2.123 0.543 6.173
O 4.481 2.243 0.638
O 0.752 0.789 9.602
O 3.110 1.997 4.067
O 3.002 3.574 7.005
O 5.360 4.782 1.469
O 1.631 3.328 10.434
O 3.988 5.028 4.898
O 3.298 0.199 8.610
O 5.656 2.586 3.074
O 7.059 1.296 1.064
O 4.702 1.490 6.600
O 7.796 3.772 1.599
O 5.439 4.584 7.135
O 6.904 4.115 5.004
O 4.546 4.241 10.540
O 7.733 1.186 4.304
O 5.375 1.599 9.840
O 9.828 0.773 1.667
O 7.470 2.013 7.203
! Total magnetization, μB per cell: 0.0
! Uncorrected energy, eV/atom: -4.75
! V, Å³ per atom: 9.54

---

! FeC2N3 (PBE, optimized geometry); values from VASP
&SYSTEM
  ibrav = 0, nat = 24, ntyp = 3
/
ATOMIC_SPECIES
Fe 55.84 Fe.upf
C 12.01 C.upf
N 14.01 N.upf
CELL_PARAMETERS angstrom
5.298 -4.272 0.000
5.298 4.272 0.000
-1.233 0.000 5.828
ATOMIC_POSITIONS angstrom
Fe 4.373 4.023 4.371
Fe 4.990 2.034 1.457
Fe 4.373 -2.034 4.371
Fe 4.990 -4.023 1.457
C 2.064 2.253 5.452
C 3.053 1.297 3.538
C 6.682 2.253 3.290
C 5.692 1.297 5.204
C 3.670 -1.297 0.624
C 2.680 -2.253 2.538
C 6.309 -1.297 2.290
C 7.299 -2.253 0.376
N 2.984 3.206 5.762
N 2.164 1.386 4.421
N 5.762 3.206 2.980
N 3.794 1.099 2.624
N 2.781 -1.386 1.507
N 6.185 1.099 0.290
N 3.177 -1.099 5.538
N 6.582 1.386 4.321
N 5.569 -1.099 3.204
N 3.601 -3.206 2.848
N 7.198 -1.386 1.407
N 6.378 -3.206 0.066
! Total magnetization, μB per cell: 16.0
! Uncorrected energy, eV/atom: -8.22
! V, Å³ per atom: 10.99

---

! Cr4GaS8 (PBE, optimized geometry); values from VASP
&SYSTEM
  ibrav = 0, nat = 13, ntyp = 3
/
ATOMIC_SPECIES
Cr 52.00 Cr.upf
Ga 69.72 Ga.upf
S 32.06 S.upf
CELL_PARAMETERS angstrom
0.000 4.962 4.962
4.962 0.000 4.962
4.962 4.962 0.000
ATOMIC_POSITIONS angstrom
Cr 1.165 1.165 1.165
Cr 3.797 3.797 1.165
Cr 3.797 1.165 3.797
Cr 1.165 3.797 3.797
Ga 4.962 4.962 4.962
S 8.754 6.131 6.131
S 3.619 3.619 3.619
S 6.305 6.305 3.619
S 6.305 3.619 6.305
S 6.131 8.754 6.131
S 6.131 6.131 8.754
S 8.754 8.754 8.754
S 3.619 6.305 6.305
! Uncorrected energy, eV/atom: -6.43
! V, Å³ per atom: 18.79

---

! Co5Te6 (PBE, optimized geometry); values from VASP
&SYSTEM
  ibrav = 0, nat = 11, ntyp = 2
/
ATOMIC_SPECIES
Co 58.93 Co.upf
Te 127.60 Te.upf
CELL_PARAMETERS angstrom
3.374 1.948 5.344
-3.374 1.948 5.344
0.000 -3.896 5.344
ATOMIC_POSITIONS angstrom
Co 0.000 0.000 0.000
Co 0.000 0.000 2.680
Co 0.000 0.000 5.415
Co 0.000 0.000 10.616
Co 0.000 0.000 13.351
Te -2.264 -0.016 6.643
Te -1.118 -1.969 9.388
Te 1.146 -1.953 6.643
Te -1.146 1.953 9.388
Te 1.118 1.969 6.643
Te 2.264 0.016 9.388
! Uncorrected energy, eV/atom: -5.07
! V, Å³ per atom: 19.16

---

! RbSbCl6 (PBE, optimized geometry); values from VASP
&SYSTEM
  ibrav = 0, nat = 16, ntyp = 3
/
ATOMIC_SPECIES
Rb 85.47 Rb.upf
Sb 121.76 Sb.upf
Cl 35.45 Cl.upf
CELL_PARAMETERS angstrom
6.254 -3.319 0.000
6.254 3.319 0.000
-2.616 0.000 12.405
ATOMIC_POSITIONS angstrom
Rb 4.292 2.548 9.304
Rb 5.600 -2.548 3.101
Sb 3.127 1.660 0.000
Sb 1.819 -1.660 6.203
Cl 0.512 0.310 6.695
Cl 1.370 0.572 10.425
Cl 1.820 -0.310 0.492
Cl 4.977 0.808 1.309
Cl 2.678 -0.572 4.222
Cl 6.222 0.808 4.893
Cl 3.669 -0.808 7.512
Cl 7.213 0.572 8.183
Cl 4.914 -0.808 11.096
Cl 8.072 0.310 11.913
Cl 8.521 -0.572 1.980
Cl 9.380 -0.310 5.711
! Uncorrected energy, eV/atom: -3.08
! V, Å³ per atom: 32.19